Na3CaYSiS2O12 after structural relaxation. Source: Materials Project, functional PBE.

a b c (Å): 9.4185 9.4452 23.4375
angles (deg): 90.27 90.00 119.91
With the nearest neighbours (Å) after each atom.
Positions (direct):
Na1 0.6280 0.0023 0.2555  1 O 2.27
Na2 0.0114 0.6488 0.2347  5 O 2.44-2.69
Na3 0.6374 0.6488 0.7347  5 O 2.44-2.69
Na4 0.3743 0.0023 0.7555  1 O 2.27
Na5 0.3320 0.3598 0.5865  3 O 2.40-2.66
Na6 0.6492 0.9390 0.5763  3 O 2.36-2.48
Na7 0.2899 0.9390 0.0763  3 O 2.36-2.48
Na8 0.0278 0.3598 0.0865  3 O 2.40-2.66
Na9 0.9970 0.6907 0.9281  3 O 2.41-2.68
Na10 0.6820 0.0252 0.9008  3 O 2.31-2.57
Na11 0.3432 0.0252 0.4008  3 O 2.31-2.57
Na12 0.6937 0.6907 0.4281  3 O 2.41-2.68
Na13 0.9603 0.9811 0.4962  2 O 2.34-2.47
Na14 0.0208 0.9811 0.9962  2 O 2.34-2.47
Na15 0.6544 0.2927 0.8301  2 O 2.33-2.48
Na16 0.6384 0.2927 0.3301  2 O 2.33-2.48
Na17 0.3191 0.6696 0.1635  2 O 2.35-2.49
Na18 0.3505 0.6696 0.6635  2 O 2.35-2.49
Ca1 0.0085 0.0126 0.3488  6 O 2.23-2.43
Ca2 0.0040 0.0126 0.8488  6 O 2.23-2.43
Ca3 0.6789 0.3362 0.6826  6 O 2.24-2.40
Ca4 0.6573 0.3362 0.1826  6 O 2.24-2.40
Ca5 0.3352 0.6716 0.0147  6 O 2.17-2.40
Ca6 0.3364 0.6716 0.5147  6 O 2.17-2.40
Y1 0.9785 0.9838 0.6505  4 O 2.10-2.33
Y2 0.0053 0.9838 0.1505  4 O 2.10-2.33
Y3 0.6595 0.3378 0.9846  6 O 2.17-2.39
Y4 0.6783 0.3378 0.4846  6 O 2.17-2.39
Y5 0.3364 0.6739 0.3184  5 O 2.11-2.34
Y6 0.3375 0.6739 0.8184  5 O 2.11-2.34
Si1 0.3079 0.9950 0.2535  4 O 1.62-1.70
Si2 0.6872 0.9950 0.7535  4 O 1.62-1.70
Si3 0.6624 0.6358 0.5844  4 O 1.63-1.67
Si4 0.9734 0.6358 0.0844  4 O 1.63-1.67
Si5 0.3350 0.9759 0.9185  4 O 1.64-1.68
Si6 0.6409 0.9759 0.4185  4 O 1.64-1.68
S1 0.7008 0.7028 0.2531  4 O 1.47-1.50
S2 0.9987 0.3014 0.2469  4 O 1.47-1.50
S3 0.3027 0.3014 0.7469  4 O 1.47-1.50
S4 0.0020 0.7028 0.7531  4 O 1.47-1.50
S5 0.9730 0.3294 0.5844  4 O 1.46-1.51
S6 0.3658 0.0393 0.5839  4 O 1.48-1.50
S7 0.6736 0.0393 0.0839  4 O 1.48-1.50
S8 0.3564 0.3294 0.0844  4 O 1.46-1.51
S9 0.6360 0.6649 0.9154  4 O 1.47-1.50
S10 0.0280 0.3658 0.9195  4 O 1.47-1.51
S11 0.3378 0.3658 0.4195  4 O 1.47-1.51
S12 0.0288 0.6649 0.4154  4 O 1.47-1.50
O1 0.2231 0.0032 0.3127  1 Si 1.62
O2 0.7937 0.7812 0.3055  1 S 1.47
O3 0.9798 0.1973 0.2959  1 S 1.47
O4 0.2175 0.1973 0.7959  1 S 1.47
O5 0.9875 0.7812 0.8055  1 S 1.47
O6 0.7802 0.0032 0.8127  1 Si 1.62
O7 0.7853 0.9755 0.6976  1 Si 1.67
O8 0.2123 0.2246 0.6928  1 S 1.50
O9 0.0296 0.8122 0.7031  1 S 1.50
O10 0.7826 0.8122 0.2031  1 S 1.50
O11 0.0122 0.2246 0.1928  1 S 1.50
O12 0.1902 0.9755 0.1976  1 Si 1.67
O13 0.8949 0.3455 0.6360  1 S 1.46
O14 0.4668 0.1152 0.6354  1 S 1.48
O15 0.6504 0.5352 0.6422  1 Si 1.63
O16 0.8847 0.5352 0.1422  1 Si 1.63
O17 0.6484 0.1152 0.1354  1 S 1.48
O18 0.4506 0.3455 0.1360  1 S 1.46
O19 0.4371 0.3043 0.0334  1 S 1.50
O20 0.8688 0.5393 0.0263  1 Si 1.66
O21 0.6881 0.1399 0.0326  1 S 1.50
O22 0.4518 0.1399 0.5326  1 S 1.50
O23 0.6705 0.5393 0.5263  1 Si 1.66
O24 0.8672 0.3043 0.5334  1 S 1.50
O25 0.5469 0.6739 0.9653  1 S 1.47
O26 0.1190 0.4386 0.9728  1 S 1.47
O27 0.3180 0.8708 0.9760  1 Si 1.64
O28 0.5528 0.8708 0.4760  1 Si 1.64
O29 0.3197 0.4386 0.4728  1 S 1.47
O30 0.1270 0.6739 0.4653  1 S 1.47
O31 0.1045 0.6450 0.3623  1 S 1.49
O32 0.5238 0.8792 0.3613  1 Si 1.68
O33 0.3467 0.4671 0.3697  1 S 1.49
O34 0.1204 0.4671 0.8697  1 S 1.49
O35 0.3554 0.8792 0.8613  1 Si 1.68
O36 0.5405 0.6450 0.8623  1 S 1.49
O37 0.0173 0.8169 0.4137  1 S 1.49
O38 0.8172 0.9818 0.4145  1 Si 1.64
O39 0.2017 0.1952 0.4147  1 S 1.48
O40 0.9935 0.1952 0.9147  1 S 1.48
O41 0.1646 0.9818 0.9145  1 Si 1.64
O42 0.7996 0.8169 0.9137  1 S 1.49
O43 0.9912 0.1795 0.5871  1 S 1.51
O44 0.2064 0.0375 0.5879  1 S 1.50
O45 0.8229 0.8256 0.5830  1 Si 1.67
O46 0.0027 0.8256 0.0830  1 Si 1.67
O47 0.8311 0.0375 0.0879  1 S 1.49
O48 0.1883 0.1795 0.0871  1 S 1.51
O49 0.6516 0.1476 0.7493  1 Si 1.64
O50 0.4709 0.3217 0.7454  1 S 1.50
O51 0.8508 0.5437 0.7461  1 S 1.48
O52 0.6929 0.5437 0.2461  1 S 1.48
O53 0.8508 0.3217 0.2454  1 S 1.50
O54 0.4959 0.1476 0.2493  1 Si 1.64
O55 0.6645 0.5226 0.9186  1 S 1.50
O56 0.8655 0.3621 0.9197  1 S 1.51
O57 0.5114 0.1522 0.9191  1 Si 1.67
O58 0.6408 0.1522 0.4191  1 Si 1.67
O59 0.4965 0.3621 0.4197  1 S 1.51
O60 0.8580 0.5226 0.4186  1 S 1.50
O61 0.3338 0.4725 0.0782  1 S 1.48
O62 0.1575 0.6520 0.0842  1 Si 1.66
O63 0.5317 0.8720 0.0785  1 S 1.48
O64 0.3402 0.8720 0.5785  1 S 1.48
O65 0.4944 0.6520 0.5842  1 Si 1.66
O66 0.1387 0.4725 0.5782  1 S 1.48
O67 0.3144 0.8189 0.2505  1 Si 1.70
O68 0.5327 0.6820 0.2554  1 S 1.50
O69 0.1469 0.4677 0.2522  1 S 1.50
O70 0.3207 0.4677 0.7522  1 S 1.50
O71 0.1494 0.6820 0.7554  1 S 1.50
O72 0.5045 0.8189 0.7505  1 Si 1.70



Na8Ca2Y2Si3S3O24 after structural relaxation. Source: Materials Project, functional PBE.

a b c (Å): 9.5376 9.5407 23.2674
angles (deg): 90.18 90.08 119.87
With the nearest neighbours (Å) after each atom.
Positions (direct):
Na1 0.6430 0.0256 0.2636  4 O 2.46-2.67
Na2 0.3396 0.3316 0.2556  4 O 2.61-2.80
Na3 0.0020 0.6230 0.2402  3 O 2.38-2.60
Na4 0.6201 0.6232 0.7295  3 O 2.35-2.62
Na5 0.9884 0.3378 0.7327  2 O 2.35-2.61
Na6 0.3872 0.0300 0.7513  3 O 2.40-2.62
Na7 0.3059 0.3558 0.5952  4 O 2.45-2.68
Na8 0.0076 0.6664 0.5866  3 O 2.57-2.78
Na9 0.6702 0.9568 0.5786  2 O 2.38-2.62
Na10 0.2823 0.9417 0.0802  3 O 2.37-2.49
Na11 0.6842 0.6938 0.0805  4 O 2.49-2.73
Na12 0.0294 0.3570 0.0990  3 O 2.46-2.72
Na13 0.9958 0.6950 0.9191  2 O 2.44-2.60
Na14 0.6773 0.0257 0.8958  1 O 2.21
Na15 0.3252 0.2739 0.8996  3 O 2.22-2.45
Na16 0.9495 0.2745 0.4167  2 O 2.35-2.49
Na17 0.3450 0.0305 0.4047  4 O 2.48-2.69
Na18 0.6955 0.6921 0.4350  3 O 2.44-2.68
Na19 0.9652 0.9984 0.5066  3 O 2.37-2.49
Na20 0.0183 0.9821 0.9964  2 O 2.31-2.46
Na21 0.6425 0.3112 0.8191  2 O 2.28-2.29
Na22 0.6665 0.3020 0.3290  3 O 2.43-2.47
Na23 0.2974 0.6644 0.1727  3 O 2.36-2.48
Na24 0.3439 0.6494 0.6605  3 O 2.40-2.63
Ca1 0.9995 0.0039 0.3476  5 O 2.16-2.40
Ca2 0.0040 0.0071 0.8434  4 O 2.16-2.37
Ca3 0.6688 0.3333 0.6801  6 O 2.20-2.43
Ca4 0.6723 0.3318 0.1842  6 O 2.21-2.41
Ca5 0.3246 0.6732 0.0145  5 O 2.15-2.40
Ca6 0.3415 0.6686 0.5173  6 O 2.20-2.41
Y1 0.9927 0.0078 0.6517  4 O 2.12-2.28
Y2 0.0094 0.0014 0.1554  4 O 2.10-2.32
Y3 0.6685 0.3341 0.9841  6 O 2.17-2.33
Y4 0.6738 0.3317 0.4884  4 O 2.10-2.31
Y5 0.3346 0.6768 0.3168  6 O 2.16-2.39
Y6 0.3411 0.6770 0.8136  5 O 2.13-2.36
Si1 0.3070 0.9994 0.2520  4 O 1.62-1.67
Si2 0.0039 0.3068 0.2495  4 O 1.61-1.68
Si3 0.3065 0.3068 0.7526  4 O 1.63-1.67
Si4 0.6938 0.9996 0.7540  4 O 1.63-1.67
Si5 0.9767 0.3358 0.5844  4 O 1.62-1.67
Si6 0.6714 0.6395 0.5829  4 O 1.62-1.67
Si7 0.9689 0.6402 0.0835  4 O 1.62-1.69
Si8 0.3316 0.9735 0.9208  4 O 1.63-1.69
Si9 0.6387 0.9743 0.4168  4 O 1.61-1.69
S1 0.6961 0.6992 0.2496  4 O 1.46-1.51
S2 0.9996 0.6988 0.7524  4 O 1.47-1.51
S3 0.3611 0.0315 0.5831  4 O 1.47-1.50
S4 0.6702 0.0308 0.0827  4 O 1.46-1.50
S5 0.3663 0.3339 0.0837  4 O 1.46-1.51
S6 0.6322 0.6638 0.9203  4 O 1.47-1.51
S7 0.0317 0.3643 0.9193  4 O 1.47-1.52
S8 0.3365 0.3664 0.4153  4 O 1.46-1.51
S9 0.0291 0.6636 0.4169  4 O 1.46-1.50
O1 0.2201 0.0150 0.3094  1 Si 1.62
O2 0.7961 0.7762 0.3000  1 S 1.46
O3 0.9792 0.1936 0.3043  1 Si 1.61
O4 0.2281 0.2037 0.8111  1 Si 1.63
O5 0.9840 0.7743 0.8054  1 S 1.47
O6 0.7861 0.0098 0.8140  1 Si 1.63
O7 0.7893 0.9747 0.6997  1 Si 1.64
O8 0.1924 0.2106 0.6965  1 Si 1.65
O9 0.0226 0.8009 0.7015  1 S 1.48
O10 0.7740 0.7991 0.1967  1 S 1.51
O11 0.0216 0.2203 0.1891  1 Si 1.68
O12 0.1950 0.9769 0.1938  1 Si 1.67
O13 0.8911 0.3549 0.6416  1 Si 1.62
O14 0.4602 0.1077 0.6345  1 S 1.47
O15 0.6481 0.5297 0.6389  1 Si 1.62
O16 0.8773 0.5349 0.1396  1 Si 1.62
O17 0.6454 0.1054 0.1337  1 S 1.46
O18 0.4584 0.3487 0.1356  1 S 1.46
O19 0.4495 0.3148 0.0323  1 S 1.50
O20 0.8590 0.5507 0.0249  1 Si 1.67
O21 0.6858 0.1305 0.0311  1 S 1.50
O22 0.4418 0.1325 0.5311  1 S 1.50
O23 0.6848 0.5486 0.5232  1 Si 1.67
O24 0.8633 0.3123 0.5266  1 Si 1.67
O25 0.5570 0.6771 0.9737  1 S 1.47
O26 0.1256 0.4402 0.9717  1 S 1.47
O27 0.3159 0.8778 0.9805  1 Si 1.63
O28 0.5469 0.8676 0.4725  1 Si 1.61
O29 0.3196 0.4487 0.4658  1 S 1.46
O30 0.1249 0.6795 0.4683  1 S 1.46
O31 0.1111 0.6456 0.3648  1 S 1.50
O32 0.5322 0.8854 0.3576  1 Si 1.67
O33 0.3515 0.4616 0.3623  1 S 1.50
O34 0.1123 0.4660 0.8686  1 S 1.48
O35 0.3552 0.8766 0.8661  1 Si 1.65
O36 0.5296 0.6463 0.8702  1 S 1.48
O37 0.0093 0.8077 0.4121  1 S 1.48
O38 0.8200 0.9913 0.4165  1 Si 1.65
O39 0.1940 0.2016 0.4123  1 S 1.48
O40 0.0075 0.1996 0.9148  1 S 1.47
O41 0.1664 0.9881 0.9169  1 Si 1.65
O42 0.7969 0.8065 0.9157  1 S 1.48
O43 0.9950 0.1715 0.5843  1 Si 1.66
O44 0.1995 0.0181 0.5872  1 S 1.49
O45 0.8450 0.8152 0.5846  1 Si 1.67
O46 0.9840 0.8240 0.0837  1 Si 1.69
O47 0.8229 0.0222 0.0860  1 S 1.50
O48 0.2008 0.1860 0.0849  1 S 1.51
O49 0.6772 0.1617 0.7494  1 Si 1.64
O50 0.4902 0.3349 0.7484  1 Si 1.64
O51 0.8553 0.5366 0.7472  1 S 1.48
O52 0.6734 0.5347 0.2432  1 S 1.48
O53 0.8482 0.3362 0.2481  1 Si 1.64
O54 0.4854 0.1625 0.2480  1 Si 1.64
O55 0.6469 0.5130 0.9215  1 S 1.51
O56 0.8662 0.3510 0.9228  1 S 1.52
O57 0.4984 0.1587 0.9207  1 Si 1.69
O58 0.6510 0.1568 0.4164  1 Si 1.69
O59 0.4871 0.3529 0.4184  1 S 1.51
O60 0.8649 0.5145 0.4186  1 S 1.50
O61 0.3501 0.4800 0.0778  1 S 1.48
O62 0.1497 0.6551 0.0834  1 Si 1.66
O63 0.5327 0.8633 0.0771  1 S 1.48
O64 0.3399 0.8676 0.5771  1 S 1.48
O65 0.5163 0.6700 0.5819  1 Si 1.64
O66 0.1552 0.4988 0.5805  1 Si 1.64
O67 0.3237 0.8338 0.2511  1 Si 1.67
O68 0.5333 0.6851 0.2537  1 S 1.49
O69 0.1755 0.4845 0.2522  1 Si 1.67
O70 0.3121 0.4844 0.7544  1 Si 1.67
O71 0.1472 0.6802 0.7559  1 S 1.51
O72 0.5091 0.8369 0.7521  1 Si 1.67



| no. | energy (eV/atom) | total magnetic moment (μB/atom) |
| --- | --- | --- |
| 1 | -6.52 | 0.000 |
| 2 | -6.47 | 0.000 |